Below is an optimized crystal structure of LaAlO3, with properties calculated at the r2SCAN level.

Cell and atoms, written as extended XYZ:
```
30
Lattice="4.576 3.177 4.388 -6.771 -0.844 1.932 2.299 -9.008 4.124" Properties=species:S:1:pos:R:3 pbc="T T T"
La 0.052 -3.337 5.222
O -1.403 -5.257 4.184
O -4.742 -2.723 2.966
O 3.898 0.339 4.837
O 4.847 -3.952 7.477
O 1.507 -1.417 6.260
O -0.732 -0.862 4.794
Al -0.263 -4.643 8.816
O 0.788 1.402 4.969
O 0.309 -6.295 8.877
La 3.787 -2.014 6.030
O -0.683 -8.077 5.475
O 2.623 -3.831 5.055
O -0.205 -0.379 1.566
O 0.837 -5.812 5.649
Al -2.437 -1.125 5.172
La -4.832 -0.157 2.351
La -1.097 1.167 3.160
La -3.683 -4.661 4.413
Al 0.368 -2.032 1.627
O 0.527 -3.245 2.878
O -0.422 -3.430 7.565
Al 2.542 -5.550 5.271
Al -0.386 -6.587 4.637
Al 0.490 -0.087 5.806
La 2.638 2.490 3.968
O -2.519 -2.844 5.388
O -3.239 -0.024 4.097
O -3.793 -7.013 5.606
O 3.343 -6.650 6.346
```

Results
magnetization = 0.0 μB/f.u.
energy of formation from the pure elements = -3.612 eV/atom